#i
VASP calculation (GGA-PBE) on crystalline Se at its relaxed geometry.

a = 11.2884 Å, b = 11.2884 Å, c = 5.3134 Å
α = 90.00°, β = 90.00°, γ = 120.00°
Space group R-3 (No. 148, hexagonal axes)
Inequivalent atoms, fractional coordinates:
Se 0.0369 0.8315 0.1006 x18

Output
The theoretical density comes out at 4.0 g cm⁻³.

#ii
VASP calculation (GGA-PBE) on crystalline Se at its relaxed geometry.

a = 3.448 Å, b = 3.448 Å, c = 3.448 Å
α = 90.00°, β = 90.00°, γ = 90.00°
Space group Im-3m (No. 229)
Inequivalent atoms, fractional coordinates:
Se 0.000 0.000 0.000 x2

Output
The theoretical density comes out at 6.4 g cm⁻³. The size of the total moment is 0.000 μB per atom.

#iii
VASP calculation (GGA-PBE) on crystalline Se at its relaxed geometry.

a = 4.5195 Å, b = 4.5195 Å, c = 5.0500 Å
α = 90.00°, β = 90.00°, γ = 120.00°
Space group P3_121 (No. 152)
Inequivalent atoms, fractional coordinates:
Se 0.0000 0.2192 0.1667 x3

Output
The theoretical density comes out at 4.4 g cm⁻³. Its piezoelectric modulus e_max is 0.61 C/m2.

#iv
VASP calculation (GGA-PBE) on crystalline Se at its relaxed geometry.

a = 2.823 Å, b = 8.790 Å, c = 4.642 Å
α = 90.00°, β = 90.00°, γ = 90.00°
Space group Cmcm (No. 63)
Inequivalent atoms, fractional coordinates:
Se 0.000 0.059 0.250 x4

Output
The theoretical density comes out at 4.6 g cm⁻³.

So which one wins? Going from most stable to least: #iii, #i, #iv, #ii.

#i
VASP calculation (GGA-PBE) on crystalline Se at its relaxed geometry.

a = 2.830 Å, b = 2.830 Å, c = 2.830 Å
α = 90.00°, β = 90.00°, γ = 90.00°
Space group Pm-3m (No. 221)
Inequivalent atoms, fractional coordinates:
Se 0.000 0.000 0.000 x1

Output
The theoretical density comes out at 5.8 g cm⁻³.

#ii
VASP calculation (GGA-PBE) on crystalline Se at its relaxed geometry.

a = 9.450 Å, b = 10.273 Å, c = 15.435 Å
α = 90.00°, β = 126.92°, γ = 90.00°
Space group P2_1/c (No. 14)
Inequivalent atoms, fractional coordinates:
Se 0.011 0.094 0.143 x4
Se 0.061 0.654 0.142 x4
Se 0.075 0.005 0.757 x4
Se 0.214 0.139 0.531 x4
Se 0.310 0.038 0.230 x4
Se 0.406 0.692 0.986 x4
Se 0.409 0.201 0.046 x4
Se 0.481 0.223 0.331 x4

Output
The theoretical density comes out at 3.5 g cm⁻³.

#iii
VASP calculation (GGA-PBE) on crystalline Se at its relaxed geometry.

a = 6.343 Å, b = 6.343 Å, c = 6.343 Å
α = 90.00°, β = 90.00°, γ = 90.00°
Space group Fd-3m (No. 227, origin choice 2)
Inequivalent atoms, fractional coordinates:
Se 0.125 0.125 0.125 x8

Output
The theoretical density comes out at 4.1 g cm⁻³. The size of the total moment is 0.000 μB per atom.

#iv
VASP calculation (GGA-PBE) on crystalline Se at its relaxed geometry.

a = 15.739 Å, b = 15.309 Å, c = 10.154 Å
α = 90.00°, β = 94.04°, γ = 90.00°
Space group P2_1/c (No. 14)
Inequivalent atoms, fractional coordinates:
Se 0.013 0.094 0.265 x4
Se 0.015 0.714 0.379 x4
Se 0.086 0.175 0.672 x4
Se 0.093 0.510 0.652 x4
Se 0.185 0.642 0.048 x4
Se 0.193 0.191 0.521 x4
Se 0.230 0.547 0.223 x4
Se 0.231 0.715 0.611 x4
Se 0.238 0.008 0.225 x4
Se 0.304 0.089 0.063 x4
Se 0.309 0.236 0.135 x4
Se 0.354 0.025 0.658 x4
Se 0.356 0.685 0.500 x4
Se 0.474 0.146 0.397 x4
Se 0.474 0.714 0.650 x4
Se 0.476 0.546 0.258 x4

Output
The theoretical density comes out at 3.4 g cm⁻³.

So which one wins? Going from most stable to least: #iv, #ii, #i, #iii.

#i
VASP calculation (GGA-PBE) on crystalline Tl4SnSe3 at its relaxed geometry.

a = 8.690 Å, b = 8.681 Å, c = 26.806 Å
α = 90.00°, β = 90.08°, γ = 90.00°
Space group P2_1 (No. 4)
Inequivalent atoms, fractional coordinates:
Tl 0.076 0.246 0.075 x2
Tl 0.079 0.492 0.326 x2
Tl 0.081 0.241 0.577 x2
Tl 0.088 0.493 0.827 x2
Tl 0.114 0.529 0.175 x2
Tl 0.115 0.535 0.676 x2
Tl 0.116 0.206 0.425 x2
Tl 0.134 0.194 0.932 x2
Tl 0.254 0.878 0.028 x2
Tl 0.374 0.203 0.676 x2
Tl 0.375 0.533 0.425 x2
Tl 0.380 0.201 0.174 x2
Tl 0.410 0.239 0.321 x2
Tl 0.411 0.500 0.573 x2
Tl 0.417 0.247 0.825 x2
Tl 0.423 0.491 0.076 x2
Sn 0.241 0.848 0.257 x2
Sn 0.244 0.887 0.506 x2
Sn 0.245 0.852 0.757 x2
Sn 0.350 0.575 0.932 x2
Se 0.058 0.224 0.246 x2
Se 0.061 0.222 0.748 x2
Se 0.061 0.513 0.498 x2
Se 0.106 0.528 0.998 x2
Se 0.252 0.852 0.898 x2
Se 0.255 0.873 0.155 x2
Se 0.260 0.864 0.404 x2
Se 0.262 0.873 0.654 x2
Se 0.392 0.558 0.754 x2
Se 0.394 0.558 0.251 x2
Se 0.395 0.180 0.503 x2
Se 0.433 0.205 0.004 x2

Output
The theoretical density comes out at 7.7 g cm⁻³. The size of the total moment is 0.002 μB per atom.

#ii
VASP calculation (GGA-PBE) on crystalline Tl4SnSe3 at its relaxed geometry.

a = 8.514 Å, b = 8.514 Å, c = 12.903 Å
α = 90.00°, β = 90.00°, γ = 90.00°
Space group I4/mcm (No. 140)
Inequivalent atoms, fractional coordinates:
Tl 0.150 0.350 0.156 x16
Sn 0.000 0.000 0.000 x4
Se 0.000 0.000 0.250 x4
Se 0.165 0.335 0.500 x8

Output
The theoretical density comes out at 8.3 g cm⁻³. The size of the total moment is 0.000 μB per atom.

So which one wins? Going from most stable to least: #i, #ii.

#i
VASP calculation (GGA-PBE) on crystalline Ti3Se4 at its relaxed geometry.

a = 9.9401 Å, b = 9.9401 Å, c = 3.5643 Å
α = 90.00°, β = 90.00°, γ = 120.00°
Space group P6_3/m (No. 176)
Inequivalent atoms, fractional coordinates:
Ti 0.1297 0.4893 0.2500 x6
Se 0.0506 0.6992 0.2500 x6
Se 0.3333 0.6667 0.7500 x2

Output
The theoretical density comes out at 5.0 g cm⁻³.

#ii
VASP calculation (GGA-PBE) on crystalline Ti3Se4 at its relaxed geometry.

a = 13.627 Å, b = 3.535 Å, c = 6.516 Å
α = 90.00°, β = 118.03°, γ = 90.00°
Space group C2/m (No. 12)
Inequivalent atoms, fractional coordinates:
Ti 0.000 0.000 0.000 x2
Ti 0.249 0.500 0.703 x4
Se 0.110 0.000 0.446 x4
Se 0.134 0.500 0.966 x4

Output
The theoretical density comes out at 5.5 g cm⁻³.

So which one wins? Going from most stable to least: #i, #ii.